Record 1
# Rb3Pt

Rb3Pt after structural relaxation (PBE, the Materials Project database).

Cell lengths 5.499, 5.499, 5.499 Å; angles 90.00, 90.00, 90.00 degrees
Atoms (fractional coordinates):
Rb: 0.000 0.000 0.500
Rb: 0.000 0.500 0.000
Rb: 0.500 0.000 0.000
Pt: 0.500 0.500 0.500

## Properties
Energy of formation = 0.239 eV per atom
Energy = -8.1 eV/cell
Total magnetization = 0.00 μB per formula unit

Record 2
# Rb2PtSe2

Rb2PtSe2 after structural relaxation (PBE, the Materials Project database).

Cell lengths 6.724, 6.724, 6.724 Å; angles 146.73, 110.23, 79.52 degrees
Atoms (fractional coordinates):
Rb: 0.198 0.198 0.000
Rb: 0.802 0.802 0.000
Pt: 0.500 0.000 0.500
Se: 0.289 0.500 0.789
Se: 0.711 0.500 0.211

## Properties
Energy of formation = -1.075 eV per atom
Energy = -19.5 eV/cell

Record 3
# RbPt2Se3

RbPt2Se3 after structural relaxation (PBE, the Materials Project database).

Cell lengths 8.155, 8.155, 8.155 Å; angles 55.19, 55.19, 55.19 degrees
Atoms (fractional coordinates):
Rb: 0.200 0.200 0.200
Rb: 0.800 0.800 0.800
Pt: 0.000 0.000 0.000
Pt: 0.000 0.500 0.500
Pt: 0.500 0.000 0.500
Pt: 0.500 0.500 0.000
Se: 0.230 0.230 0.717
Se: 0.230 0.717 0.230
Se: 0.283 0.770 0.770
Se: 0.717 0.230 0.230
Se: 0.770 0.283 0.770
Se: 0.770 0.770 0.283

## Properties
Energy of formation = -0.884 eV per atom
Energy = -55.0 eV/cell

Record 4
# Rb2U6Pt4Se17

Rb2U6Pt4Se17 after structural relaxation (PBE, the Materials Project database).

Cell lengths 10.660, 10.660, 13.636 Å; angles 90.00, 90.00, 90.00 degrees
Atoms (fractional coordinates):
Rb: 0.000 0.000 0.236
Rb: 0.000 0.000 0.764
Rb: 0.500 0.500 0.264
Rb: 0.500 0.500 0.736
U: 0.000 0.500 0.250
U: 0.000 0.500 0.750
U: 0.121 0.245 0.500
U: 0.245 0.879 0.500
U: 0.255 0.379 0.000
U: 0.379 0.745 0.000
U: 0.500 0.000 0.250
U: 0.500 0.000 0.750
U: 0.621 0.255 0.000
U: 0.745 0.621 0.000
U: 0.755 0.121 0.500
U: 0.879 0.755 0.500
Pt: 0.069 0.638 0.000
Pt: 0.138 0.569 0.500
Pt: 0.362 0.069 0.000
Pt: 0.431 0.138 0.500
Pt: 0.569 0.862 0.500
Pt: 0.638 0.931 0.000
Pt: 0.862 0.431 0.500
Pt: 0.931 0.362 0.000
Se: 0.000 0.000 0.500
Se: 0.074 0.285 0.132
Se: 0.074 0.285 0.868
Se: 0.091 0.725 0.367
Se: 0.091 0.725 0.633
Se: 0.215 0.426 0.368
Se: 0.215 0.426 0.632
Se: 0.225 0.591 0.133
Se: 0.225 0.591 0.867
Se: 0.275 0.091 0.367
Se: 0.275 0.091 0.633
Se: 0.285 0.926 0.132
Se: 0.285 0.926 0.868
Se: 0.409 0.225 0.133
Se: 0.409 0.225 0.867
Se: 0.426 0.785 0.368
Se: 0.426 0.785 0.632
Se: 0.500 0.500 0.000
Se: 0.574 0.215 0.368
Se: 0.574 0.215 0.632
Se: 0.591 0.775 0.133
Se: 0.591 0.775 0.867
Se: 0.715 0.074 0.132
Se: 0.715 0.074 0.868
Se: 0.725 0.909 0.367
Se: 0.725 0.909 0.633
Se: 0.775 0.409 0.133
Se: 0.775 0.409 0.867
Se: 0.785 0.574 0.368
Se: 0.785 0.574 0.632
Se: 0.909 0.275 0.367
Se: 0.909 0.275 0.633
Se: 0.926 0.715 0.132
Se: 0.926 0.715 0.868

## Properties
Energy of formation = -1.276 eV per atom
Energy = -364.8 eV/cell
Total magnetization = 12.00 μB per formula unit

Record 5
# RbSi4Pt4

RbSi4Pt4 after structural relaxation (PBE, the Materials Project database).

Cell lengths 6.470, 6.470, 6.470 Å; angles 97.36, 97.36, 138.05 degrees
Atoms (fractional coordinates):
Rb: 0.000 0.000 0.000
Si: 0.186 0.685 0.272
Si: 0.412 0.913 0.728
Si: 0.685 0.412 0.499
Si: 0.913 0.186 0.501
Pt: 0.127 0.973 0.502
Pt: 0.471 0.625 0.498
Pt: 0.625 0.127 0.154
Pt: 0.973 0.471 0.846

## Properties
Energy of formation = -0.670 eV per atom
Energy = -53.0 eV/cell

Record 6
# RePt

RePt after structural relaxation (PBE, the Materials Project database).

Cell lengths 2.794, 2.794, 4.501 Å; angles 90.00, 90.00, 120.00 degrees
Atoms (fractional coordinates):
Re: 0.000 0.000 0.000
Pt: 0.333 0.667 0.500

## Properties
Energy of formation = -0.004 eV per atom
Energy = -18.5 eV/cell
Total magnetization = 0.00 μB per formula unit

Record 7
# Re3Pt

Re3Pt after structural relaxation (PBE, the Materials Project database).

Cell lengths 2.788, 2.788, 9.004 Å; angles 90.00, 90.00, 120.00 degrees
Atoms (fractional coordinates):
Re: 0.000 0.000 0.000
Re: 0.667 0.333 0.246
Re: 0.667 0.333 0.754
Pt: 0.000 0.000 0.500

## Properties
Energy of formation = -0.047 eV per atom
Energy = -43.6 eV/cell
Total magnetization = 0.00 μB per formula unit

Record 8
# Re3Pt

Re3Pt after structural relaxation (PBE, the Materials Project database).

Cell lengths 5.595, 5.595, 4.437 Å; angles 90.00, 90.00, 120.00 degrees
Atoms (fractional coordinates):
Re: 0.159 0.319 0.250
Re: 0.159 0.841 0.250
Re: 0.319 0.159 0.750
Re: 0.681 0.841 0.250
Re: 0.841 0.159 0.750
Re: 0.841 0.681 0.750
Pt: 0.333 0.667 0.750
Pt: 0.667 0.333 0.250

## Properties
Energy of formation = -0.234 eV per atom
Energy = -88.7 eV/cell

Record 9
# RePt

RePt after structural relaxation (PBE, the Materials Project database).

Cell lengths 4.845, 4.845, 4.845 Å; angles 33.25, 33.25, 33.25 degrees
Atoms (fractional coordinates):
Re: 0.000 0.000 0.000
Pt: 0.500 0.500 0.500

## Properties
Energy of formation = 0.016 eV per atom
Energy = -18.5 eV/cell
Total magnetization = 0.00 μB per formula unit

Record 10
# Re2PtRh

Re2PtRh after structural relaxation (PBE, the Materials Project database).

Cell lengths 4.418, 4.418, 4.418 Å; angles 60.00, 60.00, 60.00 degrees
Atoms (fractional coordinates):
Re: 0.250 0.250 0.250
Re: 0.750 0.750 0.750
Pt: 0.000 0.000 0.000
Rh: 0.500 0.500 0.500

## Properties
Energy of formation = 0.546 eV per atom
Energy = -36.1 eV/cell
Total magnetization = 0.06 μB per formula unit

Record 11
# PtRh

PtRh after structural relaxation (PBE, the Materials Project database).

Cell lengths 4.781, 4.781, 4.781 Å; angles 33.67, 33.67, 33.67 degrees
Atoms (fractional coordinates):
Pt: 0.000 0.000 0.000
Rh: 0.500 0.500 0.500

## Properties
Energy of formation = 0.006 eV per atom
Energy = -13.4 eV/cell

Record 12
# Sc2PtRh

Sc2PtRh after structural relaxation (PBE, the Materials Project database).

Cell lengths 4.627, 4.627, 4.627 Å; angles 60.00, 60.00, 60.00 degrees
Atoms (fractional coordinates):
Sc: 0.250 0.250 0.250
Sc: 0.750 0.750 0.750
Pt: 0.000 0.000 0.000
Rh: 0.500 0.500 0.500

## Properties
Energy of formation = -1.115 eV per atom
Energy = -30.6 eV/cell

Record 13
# Pt3Rh2Se10

Pt3Rh2Se10 after structural relaxation (PBE, the Materials Project database).

Cell lengths 3.770, 3.770, 25.529 Å; angles 90.00, 90.00, 120.00 degrees
Atoms (fractional coordinates):
Pt: 0.000 0.000 0.000
Pt: 0.000 0.000 0.200
Pt: 0.000 0.000 0.800
Rh: 0.000 0.000 0.399
Rh: 0.000 0.000 0.601
Se: 0.333 0.667 0.051
Se: 0.333 0.667 0.251
Se: 0.333 0.667 0.450
Se: 0.333 0.667 0.649
Se: 0.333 0.667 0.851
Se: 0.667 0.333 0.149
Se: 0.667 0.333 0.351
Se: 0.667 0.333 0.550
Se: 0.667 0.333 0.749
Se: 0.667 0.333 0.949

## Properties
Energy of formation = -0.686 eV per atom
Energy = -73.5 eV/cell
Total magnetization = 0.01 μB per formula unit

Record 14
# Tm2PtRh

Tm2PtRh after structural relaxation (PBE, the Materials Project database).

Cell lengths 4.833, 4.833, 4.833 Å; angles 60.00, 60.00, 60.00 degrees
Atoms (fractional coordinates):
Tm: 0.250 0.250 0.250
Tm: 0.750 0.750 0.750
Pt: 0.000 0.000 0.000
Rh: 0.500 0.500 0.500

## Properties
Energy of formation = -1.111 eV per atom
Energy = -26.8 eV/cell
Total magnetization = 0.01 μB per formula unit

Record 15
# Sc2RuPt

Sc2RuPt after structural relaxation (PBE, the Materials Project database).

Cell lengths 4.594, 4.594, 4.594 Å; angles 60.00, 60.00, 60.00 degrees
Atoms (fractional coordinates):
Sc: 0.250 0.250 0.250
Sc: 0.750 0.750 0.750
Ru: 0.000 0.000 0.000
Pt: 0.500 0.500 0.500

## Properties
Energy of formation = -0.957 eV per atom
Energy = -31.8 eV/cell

Record 16
# Y2RuPt

Y2RuPt after structural relaxation (PBE, the Materials Project database).

Cell lengths 4.891, 4.891, 4.891 Å; angles 60.00, 60.00, 60.00 degrees
Atoms (fractional coordinates):
Y: 0.250 0.250 0.250
Y: 0.750 0.750 0.750
Ru: 0.000 0.000 0.000
Pt: 0.500 0.500 0.500

## Properties
Energy of formation = -0.758 eV per atom
Energy = -31.3 eV/cell
Total magnetization = 0.00 μB per formula unit

Record 17
# PtS

PtS after structural relaxation (PBE, the Materials Project database).

Cell lengths 3.534, 3.534, 6.122 Å; angles 90.00, 90.00, 90.00 degrees
Atoms (fractional coordinates):
Pt: 0.000 0.500 0.000
Pt: 0.500 0.000 0.500
S: 0.000 0.000 0.250
S: 0.000 0.000 0.750

## Properties
Energy of formation = -0.659 eV per atom
Energy = -22.0 eV/cell

Record 18
# PtS

PtS after structural relaxation (PBE, the Materials Project database).

Cell lengths 6.499, 6.499, 6.662 Å; angles 90.00, 90.00, 90.00 degrees
Atoms (fractional coordinates):
Pt: 0.000 0.000 0.250
Pt: 0.000 0.000 0.750
Pt: 0.000 0.500 0.000
Pt: 0.256 0.471 0.500
Pt: 0.471 0.744 0.000
Pt: 0.500 0.000 0.500
Pt: 0.529 0.256 0.000
Pt: 0.744 0.529 0.500
S: 0.193 0.692 0.227
S: 0.193 0.692 0.773
S: 0.308 0.193 0.273
S: 0.308 0.193 0.727
S: 0.692 0.807 0.273
S: 0.692 0.807 0.727
S: 0.807 0.308 0.227
S: 0.807 0.308 0.773

## Properties
Energy of formation = -0.616 eV per atom
Energy = -87.5 eV/cell

Record 19
# SnPtS

SnPtS after structural relaxation (PBE, the Materials Project database).

Cell lengths 6.208, 6.208, 6.208 Å; angles 90.00, 90.00, 90.00 degrees
Atoms (fractional coordinates):
Sn: 0.118 0.382 0.618
Sn: 0.382 0.618 0.118
Sn: 0.618 0.118 0.382
Sn: 0.882 0.882 0.882
Pt: 0.011 0.989 0.489
Pt: 0.489 0.011 0.989
Pt: 0.511 0.511 0.511
Pt: 0.989 0.489 0.011
S: 0.120 0.120 0.120
S: 0.380 0.880 0.620
S: 0.620 0.380 0.880
S: 0.880 0.620 0.380

## Properties
Energy of formation = -0.725 eV per atom
Energy = -63.6 eV/cell

Record 20
# Ta2Pt3S8

Ta2Pt3S8 after structural relaxation (PBE, the Materials Project database).

Cell lengths 10.540, 14.691, 3.490 Å; angles 90.00, 90.00, 90.00 degrees
Atoms (fractional coordinates):
Ta: 0.206 0.120 0.000
Ta: 0.294 0.620 0.000
Ta: 0.706 0.380 0.000
Ta: 0.794 0.880 0.000
Pt: 0.000 0.000 0.500
Pt: 0.130 0.720 0.500
Pt: 0.370 0.220 0.500
Pt: 0.500 0.500 0.500
Pt: 0.630 0.780 0.500
Pt: 0.870 0.280 0.500
S: 0.040 0.157 0.500
S: 0.059 0.623 0.000
S: 0.224 0.997 0.500
S: 0.247 0.285 0.000
S: 0.253 0.785 0.000
S: 0.276 0.497 0.500
S: 0.441 0.123 0.000
S: 0.460 0.657 0.500
S: 0.540 0.343 0.500
S: 0.559 0.877 0.000
S: 0.724 0.503 0.500
S: 0.747 0.215 0.000
S: 0.753 0.715 0.000
S: 0.776 0.003 0.500
S: 0.941 0.377 0.000
S: 0.960 0.843 0.500

## Properties
Energy of formation = -1.052 eV per atom
Energy = -169.4 eV/cell

Record 21
# Y2Pt2S7

Y2Pt2S7 after structural relaxation (PBE, the Materials Project database).

Cell lengths 8.657, 8.657, 8.657 Å; angles 60.00, 60.00, 60.00 degrees
Atoms (fractional coordinates):
Y: 0.000 0.000 0.000
Y: 0.000 0.000 0.500
Y: 0.000 0.500 0.000
Y: 0.500 0.000 0.000
Pt: 0.000 0.500 0.500
Pt: 0.500 0.000 0.500
Pt: 0.500 0.500 0.000
Pt: 0.500 0.500 0.500
S: 0.125 0.125 0.125
S: 0.162 0.162 0.588
S: 0.162 0.588 0.162
S: 0.162 0.588 0.588
S: 0.412 0.412 0.838
S: 0.412 0.838 0.412
S: 0.412 0.838 0.838
S: 0.588 0.162 0.162
S: 0.588 0.162 0.588
S: 0.588 0.588 0.162
S: 0.838 0.412 0.412
S: 0.838 0.412 0.838
S: 0.838 0.838 0.412
S: 0.875 0.875 0.875

## Properties
Energy of formation = -1.372 eV per atom
Energy = -131.2 eV/cell
Total magnetization = 0.00 μB per formula unit

Record 22
# SbPt7

SbPt7 after structural relaxation (PBE, the Materials Project database).

Cell lengths 5.699, 5.699, 5.699 Å; angles 60.00, 60.00, 60.00 degrees
Atoms (fractional coordinates):
Sb: 0.000 0.000 0.000
Pt: 0.000 0.000 0.500
Pt: 0.000 0.500 0.000
Pt: 0.000 0.500 0.500
Pt: 0.500 0.000 0.000
Pt: 0.500 0.000 0.500
Pt: 0.500 0.500 0.000
Pt: 0.500 0.500 0.500

## Properties
Energy of formation = -0.094 eV per atom
Energy = -47.4 eV/cell